Record 1
VASP calculation (PBE) on a geometry-optimized Te4MoW2Se2 structure.

Unit cell a=3.481 b=3.481 c=32.035 alpha=90.00 beta=90.00 gamma=120.00
Fractional coordinates of all 9 atoms:
Te  0.667  0.333  0.711
Te  0.667  0.333  0.289
Se  0.333  0.667  0.949
Te  0.667  0.333  0.826
W  0.333  0.667  0.769
Se  0.333  0.667  0.051
Mo  0.667  0.333  0.000
Te  0.667  0.333  0.174
W  0.333  0.667  0.231

Properties
E_form in eV per atom: -0.36
Magnetization in μB per cell: 0.00
E above lowest polymorph in eV per atom: 0.0251



Record 2
VASP calculation (PBE) on a geometry-optimized TmU2S3O2 structure.

Unit cell a=10.851 b=10.851 c=10.851 alpha=159.88 beta=159.88 gamma=28.61
Fractional coordinates of all 8 atoms:
S  0.128  0.128  0.000
Tm  0.000  0.000  0.000
S  0.500  0.500  0.000
O  0.250  0.750  0.500
S  0.872  0.872  0.000
O  0.750  0.250  0.500
U  0.314  0.314  0.000
U  0.686  0.686  0.000

Properties
E_form in eV per atom: -2.69
Magnetization in μB per cell: 4.84



Record 3
VASP calculation (PBE) on a geometry-optimized K2SrGe8O18 structure.

Unit cell a=11.818 b=11.818 c=19.586 alpha=90.00 beta=90.00 gamma=120.00
Fractional coordinates of all 174 atoms:
Sr  0.664  0.000  0.250
O  0.760  0.487  0.923
Ge  0.484  0.145  0.351
O  0.152  0.084  0.441
O  0.877  0.203  0.327
Ge  0.511  0.845  0.891
O  0.797  0.674  0.327
O  0.847  0.937  0.308
Ge  0.666  0.155  0.609
K  0.998  0.662  0.461
Ge  0.000  0.000  0.000
O  0.240  0.513  0.077
K  0.336  0.998  0.539
O  0.910  0.063  0.192
O  0.819  0.414  0.282
Ge  0.845  0.511  0.609
Ge  0.996  0.174  0.372
O  0.153  0.090  0.192
O  0.524  0.009  0.636
Ge  0.822  0.826  0.128
Ge  0.333  0.667  0.272
O  0.937  0.847  0.192
O  0.123  0.326  0.173
O  0.414  0.595  0.718
O  0.819  0.425  0.533
O  0.758  0.485  0.171
O  0.877  0.674  0.827
O  0.395  0.819  0.467
O  0.203  0.326  0.673
K  0.998  0.336  0.961
O  0.893  0.217  0.085
Ge  0.145  0.661  0.649
O  0.476  0.991  0.364
O  0.991  0.476  0.136
O  0.217  0.324  0.915
Ge  0.000  0.000  0.250
O  0.084  0.932  0.559
O  0.991  0.515  0.636
O  0.674  0.797  0.173
O  0.405  0.819  0.718
O  0.595  0.181  0.282
Sr  0.336  0.336  0.250
Sr  0.000  0.664  0.250
Ge  0.661  0.145  0.851
K  0.664  0.002  0.461
O  0.515  0.991  0.864
O  0.217  0.893  0.415
Ge  0.333  0.667  0.022
Ge  0.822  0.996  0.628
Ge  0.516  0.661  0.149
O  0.009  0.524  0.864
Ge  0.845  0.334  0.109
O  0.819  0.395  0.033
K  0.662  0.998  0.039
K  0.002  0.664  0.039
Sr  0.336  0.000  0.750
O  0.009  0.485  0.364
O  0.123  0.797  0.673
O  0.916  0.068  0.441
O  0.181  0.595  0.218
O  0.152  0.068  0.941
O  0.273  0.513  0.577
Ge  0.826  0.004  0.872
O  0.273  0.758  0.829
O  0.819  0.405  0.782
Ge  0.661  0.516  0.351
O  0.181  0.586  0.718
O  0.727  0.485  0.671
O  0.515  0.273  0.171
O  0.324  0.107  0.085
Ge  0.334  0.845  0.391
O  0.090  0.153  0.308
O  0.783  0.107  0.585
O  0.476  0.485  0.864
K  0.338  0.002  0.961
O  0.324  0.217  0.585
Ge  0.826  0.822  0.372
Ge  0.511  0.666  0.391
Ge  0.334  0.489  0.891
Ge  0.489  0.334  0.609
O  0.916  0.848  0.941
O  0.595  0.414  0.782
O  0.485  0.009  0.136
O  0.727  0.242  0.171
Ge  0.667  0.333  0.228
O  0.937  0.090  0.692
O  0.240  0.727  0.577
Ge  0.516  0.855  0.649
O  0.676  0.783  0.415
O  0.932  0.848  0.441
Ge  0.667  0.333  0.728
Ge  0.178  0.004  0.372
O  0.513  0.273  0.923
O  0.273  0.760  0.077
O  0.760  0.273  0.423
O  0.273  0.515  0.329
K  0.336  0.338  0.039
Ge  0.000  0.000  0.500
O  0.605  0.425  0.033
O  0.242  0.727  0.329
Ge  0.178  0.174  0.872
O  0.153  0.063  0.692
O  0.485  0.758  0.329
Ge  0.489  0.155  0.109
Sr  0.000  0.336  0.750
Ge  0.004  0.178  0.128
O  0.487  0.760  0.577
K  0.664  0.662  0.961
O  0.783  0.676  0.085
Ge  0.339  0.484  0.649
Ge  0.145  0.484  0.149
K  0.002  0.338  0.539
O  0.414  0.819  0.218
O  0.203  0.877  0.173
O  0.425  0.819  0.967
Ge  0.155  0.666  0.891
Ge  0.004  0.826  0.628
Ge  0.000  0.000  0.750
O  0.586  0.181  0.782
O  0.107  0.783  0.915
O  0.524  0.515  0.136
O  0.727  0.487  0.423
Ge  0.484  0.339  0.851
O  0.063  0.153  0.808
O  0.405  0.586  0.218
Ge  0.339  0.855  0.149
Ge  0.855  0.516  0.851
Ge  0.666  0.511  0.109
O  0.575  0.181  0.033
O  0.797  0.123  0.827
O  0.847  0.910  0.808
O  0.515  0.524  0.364
O  0.395  0.575  0.967
Ge  0.855  0.339  0.351
O  0.676  0.893  0.915
O  0.068  0.916  0.059
O  0.181  0.575  0.467
Ge  0.667  0.333  0.978
O  0.910  0.847  0.692
O  0.932  0.084  0.941
Ge  0.174  0.996  0.128
Ge  0.667  0.333  0.478
Ge  0.333  0.667  0.522
O  0.326  0.123  0.327
Ge  0.155  0.489  0.391
O  0.326  0.203  0.827
O  0.181  0.605  0.967
O  0.575  0.395  0.533
O  0.063  0.910  0.308
O  0.487  0.727  0.077
O  0.605  0.181  0.533
O  0.674  0.877  0.673
O  0.515  0.242  0.671
O  0.848  0.916  0.559
O  0.107  0.324  0.415
O  0.893  0.676  0.585
K  0.338  0.336  0.461
O  0.425  0.605  0.467
K  0.662  0.664  0.539
O  0.485  0.476  0.636
O  0.727  0.240  0.923
O  0.485  0.727  0.829
Sr  0.664  0.664  0.750
O  0.090  0.937  0.808
Ge  0.174  0.178  0.628
Ge  0.333  0.667  0.772
O  0.068  0.152  0.559
O  0.586  0.405  0.282
O  0.242  0.515  0.829
Ge  0.996  0.822  0.872
O  0.758  0.273  0.671
O  0.513  0.240  0.423
O  0.084  0.152  0.059
O  0.848  0.932  0.059

Properties
E_form in eV per atom: -2.25
Magnetization in μB per cell: 0.00



Record 4
VASP calculation (PBE) on a geometry-optimized LiY2Os structure.

Unit cell a=4.921 b=4.921 c=4.921 alpha=60.00 beta=60.00 gamma=60.00
Fractional coordinates of all 4 atoms:
Li  0.500  0.500  0.500
Os  0.000  0.000  0.000
Y  0.750  0.750  0.750
Y  0.250  0.250  0.250

Properties
E_form in eV per atom: -0.21



Record 5
VASP calculation (PBE) on a geometry-optimized H16AuC12S2N3O4 structure.

Unit cell a=6.268 b=10.083 c=17.146 alpha=100.83 beta=98.29 gamma=105.61
Fractional coordinates of all 76 atoms:
H  0.935  0.911  0.295
O  0.779  0.511  0.900
H  0.848  0.326  0.736
C  0.236  0.457  0.386
O  0.264  0.741  0.558
H  0.283  0.775  0.946
O  0.221  0.489  0.100
H  0.642  0.289  0.643
O  0.680  0.863  0.467
C  0.256  0.630  0.302
H  0.881  0.629  0.596
C  0.393  0.090  0.342
O  0.736  0.259  0.442
O  0.320  0.137  0.533
S  0.445  0.067  0.247
H  0.035  0.653  0.424
N  0.759  0.310  0.030
O  0.732  0.693  0.201
H  0.358  0.711  0.357
Au  0.103  0.980  0.156
H  0.643  0.582  0.644
C  0.398  0.314  0.862
S  0.780  0.915  0.057
H  0.635  0.413  0.732
C  0.541  0.174  0.420
H  0.864  0.310  0.275
C  0.937  0.569  0.370
H  0.827  0.480  0.388
C  0.028  0.604  0.745
H  0.365  0.587  0.268
H  0.675  0.455  0.561
C  0.604  0.771  0.076
N  0.101  0.513  0.328
N  0.002  0.041  0.644
C  0.744  0.370  0.698
H  0.131  0.561  0.784
C  0.349  0.121  0.462
H  0.895  0.939  0.396
C  0.764  0.543  0.614
H  0.325  0.545  0.439
H  0.160  0.391  0.673
C  0.459  0.826  0.580
H  0.922  0.378  0.048
H  0.717  0.225  0.054
O  0.268  0.307  0.799
C  0.382  0.686  0.035
C  0.651  0.879  0.538
C  0.063  0.431  0.630
H  0.093  0.360  0.223
C  0.972  0.396  0.255
H  0.869  0.439  0.216
C  0.633  0.407  0.908
C  0.210  0.041  0.381
C  0.367  0.593  0.092
H  0.840  0.609  0.327
H  0.173  0.520  0.612
N  0.241  0.690  0.970
C  0.602  0.686  0.138
H  0.965  0.347  0.576
H  0.907  0.640  0.777
C  0.790  0.959  0.619
C  0.607  0.910  0.658
S  0.220  0.085  0.943
H  0.136  0.690  0.725
H  0.152  0.674  0.264
N  0.998  0.959  0.356
C  0.618  0.314  0.965
H  0.065  0.089  0.705
Au  0.897  0.020  0.844
H  0.119  0.371  0.404
H  0.078  0.622  0.952
N  0.899  0.487  0.672
H  0.357  0.418  0.356
C  0.396  0.229  0.924
S  0.555  0.933  0.753
H  0.105  0.061  0.604

Properties
E_form in eV per atom: -0.32
Magnetization in μB per cell: 0.00
E above lowest polymorph in eV per atom: 0.0000



Record 6
VASP calculation (PBE) on a geometry-optimized NdRu2 structure.

Unit cell a=5.331 b=5.331 c=9.182 alpha=90.00 beta=90.00 gamma=120.00
Fractional coordinates of all 12 atoms:
Nd  0.333  0.667  0.434
Nd  0.333  0.667  0.066
Ru  0.170  0.340  0.750
Ru  0.000  0.000  0.000
Nd  0.667  0.333  0.566
Ru  0.170  0.830  0.750
Nd  0.667  0.333  0.934
Ru  0.340  0.170  0.250
Ru  0.000  0.000  0.500
Ru  0.830  0.660  0.250
Ru  0.830  0.170  0.250
Ru  0.660  0.830  0.750

Properties
E_form in eV per atom: -0.16



Which value of E_form does entry 5 give? -0.32 eV per atom



Which value of E_form does entry 3 give? -2.25 eV per atom



What is the E_form in the first record? -0.36 eV per atom